No. 1
Computed, not measured: an optimized crystal structure of Na3Zr2Si2PO12 at the PBE level of DFT.

Structure (CIF):
```
data_Na3Zr2Si2PO12
_chemical_formula_sum 'Na6 Zr4 Si4 P2 O24'
_cell_length_a 9.147
_cell_length_b 9.181
_cell_length_c 9.306
_cell_angle_alpha 89.75
_cell_angle_beta 60.95
_cell_angle_gamma 60.18
_symmetry_space_group_name_H-M 'P 1'
_symmetry_Int_Tables_number 1
loop_
_symmetry_equiv_pos_as_xyz
'x,y,z'
loop_
_atom_site_label
_atom_site_fract_x
_atom_site_fract_y
_atom_site_fract_z
Na1 0.000 0.000 0.000
Na2 0.018 0.781 0.619
Na3 0.204 0.115 0.210
Na4 0.310 0.383 0.793
Na5 0.629 0.498 0.462
Na6 0.652 0.701 0.943
Zr1 0.452 0.946 0.745
Zr2 0.455 0.446 0.245
Zr3 0.855 0.745 0.128
Zr4 0.862 0.240 0.633
Si1 0.371 0.848 0.423
Si2 0.376 0.625 0.929
Si3 0.649 0.057 0.945
Si4 0.940 0.345 0.949
P1 0.666 0.138 0.432
P2 0.937 0.565 0.449
O1 0.136 0.539 0.403
O2 0.157 0.166 0.896
O3 0.159 0.659 0.987
O4 0.160 0.025 0.465
O5 0.358 0.675 0.420
O6 0.360 0.809 0.906
O7 0.414 0.862 0.573
O8 0.429 0.581 0.075
O9 0.500 0.018 0.931
O10 0.500 0.316 0.439
O11 0.518 0.225 0.114
O12 0.554 0.461 0.746
O13 0.558 0.092 0.596
O14 0.561 0.817 0.236
O15 0.760 0.354 0.128
O16 0.767 0.711 0.629
O17 0.781 0.986 0.267
O18 0.782 0.090 0.767
O19 0.820 0.165 0.434
O20 0.827 0.877 0.947
O21 0.886 0.625 0.315
O22 0.898 0.340 0.797
O23 0.948 0.391 0.456
O24 0.952 0.515 0.967
```

Summary:
For the total magnetization, the calculation gives 0.00 μB/cell. The excess energy over the best structure of this formula in the dataset comes out at 7.6 meV/atom. Its crystal system is triclinic.

No. 2
Computed, not measured: an optimized crystal structure of Hf2Si at the PBE level of DFT.

Structure (CIF):
```
data_Hf2Si
_chemical_formula_sum 'Hf8 Si4'
_cell_length_a 6.577
_cell_length_b 6.577
_cell_length_c 5.200
_cell_angle_alpha 90.00
_cell_angle_beta 90.00
_cell_angle_gamma 90.00
_symmetry_space_group_name_H-M 'I 4/m c m'
_symmetry_Int_Tables_number 140
_symmetry_space_group_name_Hall '-I 4 2c'
loop_
_atom_site_label
_atom_site_fract_x
_atom_site_fract_y
_atom_site_fract_z
Hf1 0.157 0.343 0.000
Si1 0.000 0.000 0.250
```

Summary:
Its crystal system is tetragonal.

No. 3
Computed, not measured: an optimized crystal structure of Ba3CaBi2O9 at the PBE level of DFT.

Structure (CIF):
```
data_Ba3CaBi2O9
_chemical_formula_sum 'Ba12 Ca4 Bi8 O36'
_cell_length_a 6.168
_cell_length_b 8.708
_cell_length_c 18.537
_cell_angle_alpha 90.00
_cell_angle_beta 90.00
_cell_angle_gamma 90.00
_symmetry_space_group_name_H-M 'I m m m'
_symmetry_Int_Tables_number 71
_symmetry_space_group_name_Hall '-I 2 2'
loop_
_atom_site_label
_atom_site_fract_x
_atom_site_fract_y
_atom_site_fract_z
Ba1 0.000 0.242 0.000
Ba2 0.000 0.253 0.330
Ca1 0.000 0.000 0.166
Bi1 0.000 0.000 0.500
Bi2 0.000 0.500 0.168
Bi3 0.000 0.500 0.500
O1 0.000 0.245 0.500
O2 0.000 0.262 0.161
O3 0.240 0.500 0.421
O4 0.245 0.500 0.246
O5 0.247 0.000 0.419
```

Summary:
For the total magnetization, the calculation gives 0.00 μB/cell. Its crystal system is orthorhombic.

Uncorrected energy readings, ordered: -7.564; -9.190; -6.011 eV/atom
Energy with MP2020 corrections readings, ordered: -319.0; -110.0; -385.4 eV per cell